A geometry-optimized Tb2Sn2O7 structure, computed with r2SCAN.

Structure (POSCAR):
```
Tb2Sn2O7
1.0
0.000 5.211 5.211
5.211 0.000 5.211
5.211 5.211 0.000
O Tb Sn
14 4 4
Cartesian
7.817 7.817 7.817
5.211 5.211 2.215
0.391 2.606 2.606
5.211 2.215 5.211
5.211 8.208 5.211
8.208 5.211 5.211
4.820 2.606 2.606
2.606 4.820 2.606
5.211 5.211 5.211
5.211 5.211 8.208
2.606 2.606 4.820
2.606 2.606 0.391
2.606 0.391 2.606
2.215 5.211 5.211
6.514 6.514 6.514
3.908 3.908 6.514
6.514 3.908 3.908
3.908 6.514 3.908
3.908 3.908 1.303
1.303 3.908 3.908
1.303 1.303 1.303
3.908 1.303 3.908
```

Formation enthalpy at 0 K (eV per atom): -2.88
VASP energy (eV per atom): -16.86
Symmetry: Fd-3m, No. 227
Magnetization (Bohr magnetons per cell): 0.0



A geometry-optimized Tl2SnO3 structure, computed with r2SCAN.

Structure (POSCAR):
```
Tl2SnO3
1.0
3.254 0.000 0.000
0.000 10.273 0.000
0.000 0.000 12.527
Tl Sn O
8 4 12
Cartesian
0.813 7.263 8.184
2.440 8.147 1.920
2.440 6.531 4.951
0.813 3.743 7.576
0.813 2.126 10.606
0.813 8.879 11.214
2.440 3.011 4.343
2.440 1.394 1.313
0.813 9.875 4.882
0.813 4.738 1.382
2.440 0.398 7.645
2.440 5.535 11.145
2.440 7.300 10.144
0.813 1.089 6.390
0.813 6.225 12.400
2.440 9.185 6.136
2.440 2.163 8.646
0.813 2.974 2.383
0.813 8.110 3.880
0.813 9.828 8.652
2.440 5.582 2.389
2.440 0.445 3.874
2.440 4.048 0.127
0.813 4.691 10.138
```

Formation enthalpy at 0 K (eV per atom): -1.30
VASP energy (eV per atom): -26.14
Symmetry: Pnma, No. 62
Magnetization (Bohr magnetons per cell): 0.0



A geometry-optimized Tm2Sn2O7 structure, computed with r2SCAN.

Structure (POSCAR):
```
Tm2Sn2O7
1.0
0.000 5.155 5.155
5.155 0.000 5.155
5.155 5.155 0.000
O Tm Sn
14 4 4
Cartesian
9.954 7.732 7.732
5.155 5.155 7.376
7.732 7.732 9.954
7.732 9.954 7.732
0.000 0.000 0.000
7.732 7.732 5.511
7.732 5.511 7.732
2.577 2.577 2.577
5.155 5.155 2.933
2.933 5.155 5.155
7.376 5.155 5.155
5.511 7.732 7.732
5.155 2.933 5.155
5.155 7.376 5.155
3.866 1.289 3.866
3.866 3.866 1.289
1.289 1.289 1.289
1.289 3.866 3.866
3.866 6.444 3.866
6.444 6.444 6.444
6.444 3.866 3.866
3.866 3.866 6.444
```

Formation enthalpy at 0 K (eV per atom): -2.88
VASP energy (eV per atom): -17.57
Symmetry: Fd-3m, No. 227
Magnetization (Bohr magnetons per cell): 0.0



A geometry-optimized V2SnO7 structure, computed with r2SCAN.

Structure (POSCAR):
```
V2SnO7
1.0
-4.789 -6.063 -4.197
7.232 -2.884 -4.086
1.441 -5.678 6.557
O V Sn
28 8 4
Cartesian
-2.395 -3.031 -2.099
6.789 -7.804 2.397
1.366 -8.650 2.856
2.352 -9.778 0.442
2.518 -5.974 -4.582
-2.906 -6.820 -4.123
1.298 -9.756 -2.115
-2.729 -10.190 1.202
-1.470 -9.945 -1.249
1.094 -6.826 4.917
2.586 -4.869 0.388
-0.477 -6.597 2.652
6.613 -4.434 -2.928
0.720 -2.839 3.279
5.353 -4.680 -0.478
4.604 -6.185 1.893
3.616 -1.442 -2.043
-1.845 -7.714 0.343
-0.070 -5.526 -0.019
3.954 -9.098 -1.708
4.236 -8.867 2.458
1.532 -4.847 -2.169
4.361 -8.027 -4.378
-0.353 -5.757 -4.185
2.789 -7.799 -6.644
5.728 -6.910 -2.070
1.942 -7.312 -0.863
-0.720 -8.440 -3.619
2.393 -9.011 -1.064
3.608 -6.944 -5.436
5.173 -7.500 2.790
1.491 -5.614 -0.663
0.275 -7.681 3.710
6.389 -5.432 -1.582
-1.290 -7.125 -4.517
-2.505 -9.192 -0.144
0.000 0.000 0.000
4.336 -4.281 1.235
1.221 -4.473 -4.142
-1.674 -5.870 1.180
```

Formation enthalpy at 0 K (eV per atom): -2.27
VASP energy (eV per atom): -11.74
Symmetry: Pa-3, No. 205
Magnetization (Bohr magnetons per cell): 0.0



A geometry-optimized Sn2WO5 structure, computed with r2SCAN.

Structure (POSCAR):
```
Sn2WO5
1.0
-0.011 13.568 2.695
-5.095 -1.211 6.073
4.775 -1.858 9.372
O Sn W
40 16 8
Cartesian
-2.435 9.135 8.018
-0.207 8.128 9.809
-2.049 9.310 11.195
-2.595 10.020 5.314
-1.072 -1.460 11.906
-2.688 7.123 12.324
2.404 -1.233 10.536
2.356 3.376 5.816
-0.749 0.780 13.278
0.340 6.537 15.515
-3.324 2.787 5.947
-2.223 9.674 13.733
-0.672 3.962 2.625
-2.735 11.732 7.604
0.012 4.829 6.870
-0.078 9.455 15.219
4.275 3.411 9.792
-0.030 2.374 0.746
-3.136 1.915 8.633
0.417 9.719 4.862
0.604 9.498 7.678
-4.607 7.088 8.349
2.103 1.364 10.122
3.132 5.990 9.919
0.740 11.959 6.234
2.992 7.712 12.194
-0.125 2.371 8.332
-3.464 4.509 8.221
-0.302 8.125 17.394
2.263 0.479 12.826
2.131 3.773 8.335
-0.254 1.044 2.922
2.805 8.583 9.507
-2.463 6.726 9.806
1.717 1.189 6.945
-0.936 1.001 10.463
-0.344 5.670 11.271
-0.285 2.587 5.494
-0.047 7.912 12.646
1.891 0.825 4.407
0.677 -0.675 14.035
-0.986 10.102 9.278
-0.194 10.084 13.184
1.381 7.526 8.251
2.246 3.577 10.455
0.654 0.396 8.863
1.404 6.539 13.440
-1.009 11.174 4.105
-0.944 2.856 13.827
2.996 10.712 9.794
-1.736 3.960 4.700
0.612 7.643 4.314
-3.328 -0.213 8.346
-0.138 0.415 4.956
-2.578 6.922 7.685
-1.713 2.973 9.889
-1.140 7.214 11.193
-4.280 3.091 7.558
1.559 10.397 6.305
3.197 0.165 11.198
3.948 7.408 10.582
-1.890 0.102 11.835
0.808 3.285 6.947
-3.529 10.334 6.942
```

Formation enthalpy at 0 K (eV per atom): -1.85
VASP energy (eV per atom): -18.19
Symmetry: P2_1/c, No. 14
Magnetization (Bohr magnetons per cell): 0.0



A geometry-optimized Yb3SnO structure, computed with r2SCAN.

Structure (POSCAR):
```
Yb3SnO
1.0
-0.271 4.150 2.083
-3.678 1.082 -2.633
-2.834 -1.800 3.219
O Yb Sn
1 3 1
Cartesian
-3.391 1.715 1.334
-1.552 1.175 2.651
-3.256 -0.359 0.293
-1.974 2.616 -0.275
0.000 0.000 0.000
```

Formation enthalpy at 0 K (eV per atom): -1.55
VASP energy (eV per atom): -29.61
Symmetry: Pm-3m, No. 221
Magnetization (Bohr magnetons per cell): 1.0



A geometry-optimized SrO2 structure, computed with r2SCAN.

Structure (POSCAR):
```
SrO2
1.0
-4.112 -0.599 0.649
0.427 -4.634 -1.572
1.687 -2.643 8.247
Sr O
4 8
Cartesian
0.651 -3.607 6.973
-1.615 -5.561 4.444
-2.649 -4.268 0.351
-0.384 -2.314 2.880
0.159 -4.824 2.751
-2.815 -1.704 0.421
-0.391 -4.420 1.412
0.816 -6.172 6.904
-2.799 -2.185 1.844
-2.157 -3.052 4.574
0.801 -5.690 5.480
-1.607 -3.456 5.913
```

Formation enthalpy at 0 K (eV per atom): -2.08
VASP energy (eV per atom): -11.11
Symmetry: Pnma, No. 62
Magnetization (Bohr magnetons per cell): 0.0



A geometry-optimized SrO2 structure, computed with r2SCAN.

Structure (POSCAR):
```
SrO2
1.0
-5.791 -5.848 -1.839
2.706 -1.739 -2.993
1.897 -2.959 3.436
O Sr
8 4
Cartesian
0.663 -4.580 -2.553
-0.107 -3.844 -1.494
-3.052 -6.977 -2.567
1.864 -3.569 1.170
-1.851 -5.966 1.157
-1.081 -6.702 0.098
-1.990 -7.419 -3.534
0.802 -3.127 2.137
-2.412 -4.867 -1.102
0.369 -1.869 -0.056
-1.557 -8.677 -1.340
1.224 -5.679 -0.294
```

Formation enthalpy at 0 K (eV per atom): -2.08
VASP energy (eV per atom): -11.11
Symmetry: Pnma, No. 62
Magnetization (Bohr magnetons per cell): 0.0



A geometry-optimized SrO2 structure, computed with r2SCAN.

Structure (POSCAR):
```
SrO2
1.0
3.199 0.000 -1.525
-0.727 3.116 -1.525
0.028 0.035 4.177
O Sr
2 1
Cartesian
1.520 1.915 -0.930
0.981 1.236 2.057
0.000 0.000 0.000
```

Formation enthalpy at 0 K (eV per atom): -2.09
VASP energy (eV per atom): -11.12
Symmetry: I4/mmm, No. 139
Magnetization (Bohr magnetons per cell): 0.0



A geometry-optimized SrTa4O11 structure, computed with r2SCAN.

Structure (POSCAR):
```
SrTa4O11
1.0
-4.092 -3.222 3.492
4.021 -3.044 -3.727
8.226 -0.439 9.234
Ta O Sr
8 22 2
Cartesian
4.088 -2.454 4.533
3.373 -3.213 0.988
5.501 -5.337 3.137
6.700 -2.178 2.219
1.434 -1.085 -1.329
-1.459 -1.149 1.245
-0.046 -4.032 -0.151
4.782 -3.492 8.011
-3.089 -2.432 2.636
9.260 -3.527 7.596
2.443 -3.367 5.385
2.758 -1.590 0.026
3.035 -2.298 -2.813
5.713 -3.338 3.614
1.007 -4.188 7.196
-0.017 -1.536 -0.057
-1.105 -3.178 1.403
5.433 -1.960 9.092
5.116 -2.267 1.068
5.100 -2.816 6.173
6.661 -4.120 7.895
4.059 -4.950 4.440
3.110 -1.009 5.473
3.069 -2.669 2.873
1.480 -3.806 1.059
4.297 -4.830 1.676
3.061 -2.503 8.004
3.519 -4.118 -0.773
3.822 -5.031 7.206
4.614 -4.523 9.700
0.669 -3.273 3.394
7.486 -3.433 5.605
```

Formation enthalpy at 0 K (eV per atom): -3.22
VASP energy (eV per atom): -20.42
Symmetry: P6_322, No. 182
Magnetization (Bohr magnetons per cell): 0.0



A geometry-optimized Sr5Ta4O15 structure, computed with r2SCAN.

Structure (POSCAR):
```
Sr5Ta4O15
1.0
0.624 -0.439 5.619
-2.720 -4.060 -2.876
19.938 -11.172 -3.086
Sr O Ta
10 30 8
Cartesian
1.181 -4.414 -0.476
6.693 -5.671 1.676
10.041 -7.547 1.157
14.954 -8.379 -2.314
7.801 -8.124 -1.500
17.771 -13.710 -3.043
2.889 -7.292 1.971
16.662 -11.256 0.133
11.150 -10.000 -2.018
0.071 -1.961 2.700
16.090 -10.880 -2.382
17.486 -13.596 -0.513
18.755 -11.103 -1.338
5.322 -3.030 2.267
18.755 -11.878 1.474
10.245 -7.603 -2.102
11.776 -10.415 0.995
4.138 -5.427 3.292
14.885 -13.309 -1.376
14.784 -12.708 -4.203
1.752 -4.791 2.039
9.410 -9.627 -0.174
13.213 -8.149 2.074
9.058 -5.709 2.661
-0.912 -4.568 0.995
5.158 -7.363 0.422
8.784 -9.961 -3.003
0.357 -2.075 0.170
14.328 -10.682 1.984
8.432 -6.044 -0.168
4.022 -4.859 0.488
12.685 -8.307 -0.765
4.629 -7.522 -2.417
7.597 -8.067 1.759
6.066 -5.255 -1.338
-0.913 -3.792 -1.817
13.820 -10.811 -0.831
3.058 -2.963 3.860
2.957 -2.361 1.033
15.240 -8.580 0.267
3.455 -3.856 2.177
4.419 -6.228 -0.977
1.836 -1.029 -0.284
13.424 -9.442 0.634
11.805 -6.615 -1.827
14.388 -11.814 -2.520
18.102 -10.143 -2.801
8.133 -4.557 -1.259
```

Formation enthalpy at 0 K (eV per atom): -3.32
VASP energy (eV per atom): -18.31
Symmetry: P-3c1, No. 165
Magnetization (Bohr magnetons per cell): 0.0



A geometry-optimized Sr5Ta4O15 structure, computed with r2SCAN.

Structure (POSCAR):
```
Sr5Ta4O15
1.0
2.835 -4.910 0.000
2.835 4.910 0.000
0.000 0.000 11.543
O Sr Ta
15 5 4
Cartesian
2.835 -3.288 9.316
1.417 2.455 0.000
1.436 0.829 7.026
2.835 3.252 7.026
2.835 3.288 2.227
4.265 -0.811 9.316
1.436 -0.829 4.517
2.835 0.000 0.000
4.234 -0.829 4.517
1.417 -2.455 0.000
4.234 0.829 7.026
1.404 -0.811 9.316
1.404 0.811 2.227
2.835 -3.252 4.517
4.265 0.811 2.227
0.000 0.000 0.000
2.835 1.637 8.978
2.835 -1.637 6.468
2.835 -1.637 2.565
2.835 1.637 5.075
2.835 1.637 1.209
2.835 -1.637 10.334
0.000 0.000 3.672
0.000 0.000 7.871
```

Formation enthalpy at 0 K (eV per atom): -3.31
VASP energy (eV per atom): -18.30
Symmetry: P-3m1, No. 164
Magnetization (Bohr magnetons per cell): 0.0



Q: What is the formula in the seventh record?
A: SrO2